Crystalline Zn2As2O7 at its relaxed geometry, computed with PBE-GGA.

Values from the calculation:
Final energy: -5.536 eV per atom
Total energy after the MP2020 corrections: -65.70 eV/f.u.
Energy of formation from the pure elements: -1.75 eV/atom

a = 5.2778 Å, b = 14.1427 Å, c = 16.9683 Å
α = 90.00°, β = 90.00°, γ = 90.00°
Fractional coordinates of all 88 atoms:
O 0.8087 0.6642 0.2500
O 0.6000 0.8604 0.5864
O 0.1913 0.1642 0.2500
O 0.3912 0.3609 0.0792
O 0.8651 0.0474 0.3341
O 0.2782 0.5319 0.7500
O 0.1954 0.5552 0.5046
O 0.5441 0.2867 0.2500
O 0.1954 0.5552 0.9954
O 0.6000 0.6396 0.0864
O 0.6088 0.8609 0.4208
O 0.4000 0.3604 0.9136
O 0.4000 0.3604 0.5864
O 0.2440 0.7500 0.0000
O 0.8046 0.4448 0.0046
O 0.7218 0.0319 0.7500
O 0.3912 0.1391 0.5792
O 0.6088 0.6391 0.5792
O 0.8046 0.0552 0.5046
O 0.0081 0.8316 0.1649
O 0.0081 0.6684 0.8351
O 0.1349 0.5474 0.3341
O 0.1954 0.9448 0.0046
O 0.7560 0.2500 0.5000
O 0.8651 0.4526 0.8341
O 0.8046 0.0552 0.9954
O 0.3912 0.1391 0.9208
O 0.5441 0.2133 0.7500
O 0.3912 0.3609 0.4208
O 0.1913 0.3358 0.7500
O 0.2782 0.9681 0.2500
O 0.9919 0.1684 0.6649
O 0.0081 0.8316 0.3351
O 0.1954 0.9448 0.4954
O 0.4559 0.7133 0.7500
O 0.6088 0.6391 0.9208
O 0.9919 0.3316 0.1649
O 0.6088 0.8609 0.0792
O 0.1349 0.9526 0.6659
O 0.4000 0.1396 0.0864
O 0.9919 0.1684 0.8351
O 0.8651 0.4526 0.6659
O 0.6000 0.6396 0.4136
O 0.2440 0.7500 0.5000
O 0.6000 0.8604 0.9136
O 0.8651 0.0474 0.1659
O 0.0081 0.6684 0.6649
O 0.4559 0.7867 0.2500
O 0.1349 0.5474 0.1659
O 0.8046 0.4448 0.4954
O 0.4000 0.1396 0.4136
O 0.9919 0.3316 0.3351
O 0.8087 0.8358 0.7500
O 0.7218 0.4681 0.2500
O 0.1349 0.9526 0.8341
O 0.7560 0.2500 0.0000
As 0.4215 0.6414 0.4959
As 0.4215 0.8586 0.5041
As 0.4215 0.6414 0.0041
As 0.8223 0.1518 0.7500
As 0.1777 0.8482 0.2500
As 0.1777 0.6518 0.7500
As 0.0330 0.4414 0.7500
As 0.5785 0.1414 0.0041
As 0.5785 0.3586 0.9959
As 0.8223 0.3482 0.2500
As 0.0330 0.0586 0.2500
As 0.5785 0.1414 0.4959
As 0.5785 0.3586 0.5041
As 0.4215 0.8586 0.9959
As 0.9670 0.9414 0.7500
As 0.9670 0.5586 0.2500
Zn 0.0894 0.4507 0.4141
Zn 0.3134 0.2539 0.6562
Zn 0.6866 0.7461 0.1562
Zn 0.9106 0.5493 0.9141
Zn 0.3134 0.2539 0.8438
Zn 0.9106 0.5493 0.5859
Zn 0.9106 0.9507 0.4141
Zn 0.3134 0.2461 0.3438
Zn 0.6866 0.7539 0.8438
Zn 0.0894 0.4507 0.0859
Zn 0.0894 0.0493 0.9141
Zn 0.0894 0.0493 0.5859
Zn 0.3134 0.2461 0.1562
Zn 0.6866 0.7539 0.6562
Zn 0.6866 0.7461 0.3438
Zn 0.9106 0.9507 0.0859

***

Crystalline Tb2MgTi2S2O5 at its relaxed geometry, computed with PBE-GGA.

Values from the calculation:
Final energy: -7.507 eV per atom
Total energy after the MP2020 corrections: -94.52 eV/f.u.
Energy of formation from the pure elements: -2.90 eV/atom

a = 3.9121 Å, b = 3.9121 Å, c = 11.5459 Å
α = 99.75°, β = 99.75°, γ = 90.00°
Fractional coordinates of all 12 atoms:
O 0.9027 0.4027 0.8054
O 0.5973 0.0973 0.1946
O 0.0973 0.5973 0.1946
O 0.5000 0.5000 0.0000
O 0.4027 0.9027 0.8054
Tb 0.1662 0.1662 0.3324
Tb 0.8338 0.8338 0.6676
Mg 0.0000 0.0000 0.0000
Ti 0.5865 0.5865 0.1731
Ti 0.4135 0.4135 0.8269
S 0.2950 0.2950 0.5901
S 0.7050 0.7050 0.4099

***

Crystalline CeMg6W at its relaxed geometry, computed with PBE-GGA.

Values from the calculation:
Final energy: -3.271 eV per atom
Energy of formation from the pure elements: 0.29 eV/atom

a = 5.1694 Å, b = 5.7908 Å, c = 11.8059 Å
α = 90.00°, β = 90.00°, γ = 90.00°
Fractional coordinates of all 16 atoms:
Ce 0.5000 0.5000 0.6776
Ce 0.5000 0.0000 0.1776
Mg 0.0000 0.2601 0.0816
Mg 0.0000 0.5000 0.8363
Mg 0.0000 0.0000 0.8031
Mg 0.5000 0.7499 0.4257
Mg 0.5000 0.2499 0.9257
Mg 0.5000 0.7501 0.9257
Mg 0.0000 0.0000 0.3363
Mg 0.0000 0.7601 0.5816
Mg 0.0000 0.2399 0.5816
Mg 0.5000 0.2501 0.4257
Mg 0.0000 0.5000 0.3031
Mg 0.0000 0.7399 0.0816
W 0.5000 0.0000 0.6683
W 0.5000 0.5000 0.1683

***

Crystalline ZrCo6Ge6 at its relaxed geometry, computed with PBE-GGA.

Values from the calculation:
Final energy: -6.407 eV per atom
Energy of formation from the pure elements: -0.33 eV/atom

a = 5.0741 Å, b = 5.0741 Å, c = 7.7767 Å
α = 90.00°, β = 90.00°, γ = 120.00°
Fractional coordinates of all 13 atoms:
Ge 0.3333 0.6667 0.0000
Ge 0.0000 0.0000 0.6599
Ge 0.6667 0.3333 0.0000
Ge 0.0000 0.0000 0.3401
Ge 0.6667 0.3333 0.5000
Ge 0.3333 0.6667 0.5000
Co 0.5000 0.5000 0.2500
Co 0.5000 0.0000 0.7500
Co 0.5000 0.5000 0.7500
Co 0.0000 0.5000 0.2500
Co 0.0000 0.5000 0.7500
Co 0.5000 0.0000 0.2500
Zr 0.0000 0.0000 0.0000

***

Crystalline ZnCu2P2O9 at its relaxed geometry, computed with PBE-GGA.

Values from the calculation:
Final energy: -6.009 eV per atom
Total energy after the MP2020 corrections: -90.31 eV/f.u.
Energy of formation from the pure elements: -1.82 eV/atom

a = 6.1268 Å, b = 7.0863 Å, c = 14.7601 Å
α = 90.00°, β = 90.00°, γ = 90.00°
Fractional coordinates of all 56 atoms:
O 0.5611 0.3723 0.1403
O 0.7500 0.3281 0.5211
O 0.2500 0.1973 0.2366
O 0.2500 0.9542 0.7258
O 0.2500 0.3723 0.5471
O 0.4389 0.6277 0.8597
O 0.0365 0.3857 0.3536
O 0.7500 0.9739 0.5026
O 0.2500 0.8281 0.9789
O 0.9635 0.6143 0.6464
O 0.7500 0.5261 0.0026
O 0.5611 0.1277 0.6403
O 0.0611 0.8723 0.3597
O 0.5365 0.8857 0.1464
O 0.2500 0.0261 0.4974
O 0.2500 0.1277 0.0471
O 0.7500 0.6973 0.2634
O 0.4389 0.8723 0.3597
O 0.4635 0.3857 0.3536
O 0.7500 0.6277 0.4529
O 0.4635 0.1143 0.8536
O 0.7500 0.8027 0.7634
O 0.9389 0.3723 0.1403
O 0.2500 0.4739 0.9974
O 0.5365 0.6143 0.6464
O 0.9389 0.1277 0.6403
O 0.7500 0.1719 0.0211
O 0.0365 0.1143 0.8536
O 0.9635 0.8857 0.1464
O 0.7500 0.8723 0.9529
O 0.2500 0.5458 0.2258
O 0.2500 0.6719 0.4789
O 0.2500 0.3027 0.7366
O 0.0611 0.6277 0.8597
O 0.7500 0.0458 0.2742
O 0.7500 0.4542 0.7742
Zn 0.7500 0.3987 0.2785
Zn 0.7500 0.1013 0.7785
Zn 0.2500 0.8987 0.2215
Zn 0.2500 0.6013 0.7215
Cu 0.7500 0.6450 0.8806
Cu 0.7500 0.8550 0.3806
Cu 0.5000 0.5000 0.5000
Cu 0.2500 0.1450 0.6194
Cu 0.2500 0.3550 0.1194
Cu 0.0000 0.0000 0.0000
Cu 0.0000 0.5000 0.5000
Cu 0.5000 0.0000 0.0000
P 0.7500 0.1323 0.5703
P 0.7500 0.6192 0.7030
P 0.2500 0.6323 0.9297
P 0.7500 0.3677 0.0703
P 0.2500 0.1192 0.7970
P 0.2500 0.8677 0.4297
P 0.2500 0.3808 0.2970
P 0.7500 0.8808 0.2030

***

Crystalline Na10Nb6Al2Si11SO48 at its relaxed geometry, computed with PBE-GGA.

Values from the calculation:
Final energy: -7.409 eV per atom
Total energy after the MP2020 corrections: -610.86 eV/f.u.
Energy of formation from the pure elements: -2.93 eV/atom

a = 17.9203 Å, b = 9.0088 Å, c = 22.2877 Å
α = 90.14°, β = 89.66°, γ = 120.18°
Fractional coordinates of all 234 atoms:
Nb 0.8337 0.3283 0.4785
Nb 0.4956 0.9989 0.6441
Nb 0.6667 0.6662 0.0217
Nb 0.3382 0.3431 0.1894
Nb 0.4952 0.9955 0.3545
Nb 0.3371 0.3320 0.6874
Nb 0.1667 0.6687 0.0217
Nb 0.9960 0.9957 0.3553
Nb 0.1686 0.6681 0.5231
Nb 0.4985 0.9944 0.8565
Nb 0.6644 0.6648 0.8104
Nb 0.9952 0.0002 0.8574
Nb 0.8402 0.3487 0.1896
Nb 0.3301 0.3404 0.9783
Nb 0.6627 0.6633 0.5209
Nb 0.8338 0.3294 0.9782
Nb 0.3294 0.3261 0.4781
Nb 0.8383 0.3395 0.6889
O 0.9879 0.8093 0.8078
O 0.7620 0.8309 0.7527
O 0.6782 0.8664 0.8560
O 0.4018 0.8343 0.1891
O 0.9865 0.8191 0.0935
O 0.5785 0.4694 0.9778
O 0.7526 0.3658 0.1416
O 0.8252 0.4984 0.9197
O 0.1496 0.8271 0.9717
O 0.7399 0.1657 0.5271
O 0.4285 0.4996 0.4194
O 0.3495 0.1699 0.0257
O 0.6533 0.8476 0.2505
O 0.4354 0.5004 0.1423
O 0.1760 0.8544 0.5787
O 0.5913 0.1565 0.0921
O 0.2494 0.8614 0.3498
O 0.9013 0.8354 0.1894
O 0.4230 0.3126 0.5204
O 0.4901 0.1684 0.3059
O 0.1871 0.8791 0.8541
O 0.2540 0.8184 0.7558
O 0.4118 0.8027 0.3076
O 0.5148 0.8342 0.6924
O 0.9025 0.9711 0.4086
O 0.1917 0.5069 0.3575
O 0.4006 0.8365 0.9108
O 0.0719 0.6367 0.0801
O 0.0804 0.6959 0.4778
O 0.2522 0.3593 0.4221
O 0.5926 0.0248 0.5873
O 0.9127 0.2990 0.2450
O 0.0886 0.4869 0.2565
O 0.6582 0.4844 0.7531
O 0.7542 0.3620 0.4238
O 0.9863 0.1521 0.5924
O 0.4864 0.8033 0.8092
O 0.6489 0.4672 0.4737
O 0.8442 0.1678 0.7449
O 0.4109 0.5164 0.7470
O 0.2274 0.2979 0.7464
O 0.5966 0.1647 0.8076
O 0.7654 0.8323 0.4727
O 0.9144 0.5279 0.7455
O 0.9191 0.0247 0.0894
O 0.7584 0.7024 0.2542
O 0.1002 0.0183 0.3033
O 0.9121 0.8027 0.3079
O 0.0890 0.0201 0.5911
O 0.9319 0.3667 0.9234
O 0.0121 0.8339 0.4082
O 0.1002 0.1782 0.8034
O 0.4855 0.1589 0.5858
O 0.7489 0.8588 0.3518
O 0.7476 0.8531 0.0797
O 0.6851 0.8607 0.5786
O 0.5130 0.2016 0.1870
O 0.5727 0.4983 0.8601
O 0.2370 0.1666 0.5283
O 0.4252 0.3549 0.9207
O 0.4016 0.9742 0.6942
O 0.5728 0.5057 0.5800
O 0.6921 0.5055 0.3576
O 0.5889 0.4865 0.2568
O 0.3372 0.1605 0.7469
O 0.9303 0.3596 0.6396
O 0.2524 0.3612 0.1414
O 0.5829 0.6961 0.4739
O 0.9166 0.0252 0.8061
O 0.8240 0.1480 0.4184
O 0.2619 0.8274 0.4699
O 0.2328 0.3005 0.0267
O 0.5991 0.0169 0.3015
O 0.4194 0.0257 0.0881
O 0.5124 0.8351 0.4076
O 0.1479 0.4670 0.4739
O 0.6780 0.5008 0.0798
O 0.0897 0.6952 0.7566
O 0.5943 0.9880 0.1921
O 0.2452 0.6409 0.8557
O 0.9191 0.5437 0.0244
O 0.0811 0.4657 0.9775
O 0.0171 0.1967 0.9076
O 0.6567 0.8397 0.9762
O 0.2537 0.1439 0.9239
O 0.0806 0.9722 0.9098
O 0.0753 0.6300 0.3590
O 0.3181 0.4948 0.9208
O 0.0894 0.2010 0.6949
O 0.4022 0.9712 0.4082
O 0.9894 0.1683 0.3063
O 0.7393 0.3082 0.7468
O 0.9037 0.9670 0.6882
O 0.3430 0.5199 0.2445
O 0.2581 0.7016 0.2535
O 0.7345 0.2986 0.0271
O 0.7497 0.6497 0.5788
O 0.4183 0.8086 0.5888
O 0.8486 0.5290 0.5254
O 0.1508 0.4586 0.7545
O 0.7550 0.6461 0.8559
O 0.5849 0.6950 0.7542
O 0.0894 0.9864 0.1941
O 0.9304 0.4989 0.4213
O 0.3445 0.5297 0.5220
O 0.9211 0.8114 0.5881
O 0.4112 0.0247 0.8119
O 0.8494 0.1728 0.0295
O 0.1515 0.8474 0.2503
O 0.0174 0.8344 0.6897
O 0.4122 0.2980 0.2468
O 0.2297 0.1559 0.2463
O 0.5799 0.9725 0.9146
O 0.2473 0.6389 0.5789
O 0.5743 0.6294 0.3573
O 0.0122 0.1985 0.1874
O 0.2438 0.1325 0.6463
O 0.5091 0.1838 0.9143
O 0.2650 0.6942 0.9753
O 0.7467 0.1340 0.6449
O 0.8434 0.5213 0.2448
O 0.7543 0.1456 0.9219
O 0.0721 0.5072 0.5805
O 0.8200 0.5059 0.6436
O 0.1791 0.4992 0.0796
O 0.9328 0.4996 0.1402
O 0.3201 0.1360 0.1442
O 0.3226 0.1470 0.4180
O 0.0799 0.1906 0.4093
O 0.3217 0.4961 0.6408
O 0.7313 0.1574 0.2476
O 0.4296 0.3529 0.6404
O 0.7648 0.6865 0.9763
O 0.4151 0.5382 0.0278
O 0.5802 0.1905 0.4088
O 0.5736 0.6462 0.0798
O 0.9216 0.2977 0.5237
O 0.8129 0.1287 0.1450
O 0.5843 0.1955 0.6908
O 0.0724 0.5206 0.8586
O 0.4902 0.8218 0.0934
O 0.9070 0.8356 0.9133
O 0.2495 0.8507 0.0790
O 0.0882 0.1571 0.0926
Si 0.6680 0.3798 0.4140
Si 0.6856 0.3259 0.0857
Si 0.0299 0.6706 0.4135
Si 0.5204 0.3745 0.9177
Si 0.8337 0.6254 0.5838
Si 0.3327 0.6191 0.5832
Si 0.3509 0.7123 0.2464
Si 0.1676 0.9563 0.9133
Si 0.8347 0.0443 0.0870
Si 0.0294 0.3896 0.9134
Si 0.4787 0.3311 0.5807
Si 0.6429 0.2891 0.7493
Si 0.1838 0.0433 0.5869
Si 0.0077 0.2972 0.2469
Si 0.8103 0.6622 0.9159
Si 0.4790 0.6340 0.0849
Si 0.1670 0.3816 0.4140
Si 0.9822 0.3242 0.5838
Si 0.9814 0.6384 0.0832
Si 0.5069 0.2980 0.2470
Si 0.8027 0.9481 0.4111
Si 0.3334 0.0451 0.0841
Si 0.5273 0.6684 0.4111
Si 0.0063 0.7173 0.7482
Si 0.8599 0.0030 0.7451
Si 0.8517 0.7148 0.2469
Si 0.3021 0.9484 0.4096
Si 0.3039 0.6603 0.9117
Si 0.4960 0.7075 0.7494
Si 0.6665 0.9574 0.9166
Si 0.6868 0.0436 0.5852
Si 0.3487 0.9876 0.7531
Si 0.1834 0.3205 0.0866
Na 0.3303 0.3402 0.3331
Na 0.0154 0.0171 0.5072
Na 0.0187 0.3280 0.0888
Na 0.8368 0.7077 0.0906
Na 0.3458 0.6632 0.4154
Na 0.3464 0.0292 0.9139
Na 0.6617 0.6455 0.1785
Na 0.1725 0.6597 0.6732
Na 0.8169 0.9955 0.2538
Na 0.1608 0.6567 0.1756
Na 0.5143 0.3249 0.0897
Na 0.9880 0.3136 0.4137
Na 0.6478 0.9704 0.0890
Na 0.3383 0.3570 0.8342
Na 0.0111 0.0149 0.0065
Na 0.4858 0.3118 0.4144
Na 0.5027 0.9974 0.0015
Na 0.1827 0.9894 0.7509
Na 0.8307 0.3400 0.3334
Na 0.9891 0.6650 0.9124
Na 0.0177 0.7054 0.5867
Na 0.8375 0.3234 0.8341
Na 0.6548 0.6441 0.6632
Na 0.3149 0.9936 0.2533
Na 0.8369 0.9616 0.5864
Na 0.8222 0.6451 0.7467
Na 0.3345 0.7064 0.0884
Na 0.5081 0.9999 0.5042
Na 0.8464 0.6644 0.4151
Na 0.6819 0.0024 0.7479
S 0.1405 0.9970 0.2473
S 0.6423 0.9982 0.2471
S 0.1398 0.2855 0.7480
Al 0.1677 0.6806 0.8148
Al 0.9966 0.0049 0.1453
Al 0.4923 0.0066 0.1449
Al 0.6677 0.6450 0.3146
Al 0.9980 0.9881 0.6436
Al 0.1672 0.6452 0.3139

***

What did the third record say?
Crystalline CeMg6W at its relaxed geometry, computed with PBE-GGA.

Values from the calculation:
Final energy: -3.271 eV per atom
Energy of formation from the pure elements: 0.29 eV/atom

a = 5.1694 Å, b = 5.7908 Å, c = 11.8059 Å
α = 90.00°, β = 90.00°, γ = 90.00°
Fractional coordinates of all 16 atoms:
Ce 0.5000 0.5000 0.6776
Ce 0.5000 0.0000 0.1776
Mg 0.0000 0.2601 0.0816
Mg 0.0000 0.5000 0.8363
Mg 0.0000 0.0000 0.8031
Mg 0.5000 0.7499 0.4257
Mg 0.5000 0.2499 0.9257
Mg 0.5000 0.7501 0.9257
Mg 0.0000 0.0000 0.3363
Mg 0.0000 0.7601 0.5816
Mg 0.0000 0.2399 0.5816
Mg 0.5000 0.2501 0.4257
Mg 0.0000 0.5000 0.3031
Mg 0.0000 0.7399 0.0816
W 0.5000 0.0000 0.6683
W 0.5000 0.5000 0.1683

***

Question: Look up the energy of formation from the pure elements of the fifth one.
Answer: -1.82 eV/atom

***

Question: Among the records above, which one has the lowest final energy?
Answer: Tb2MgTi2S2O5